A relaxed Na7MgSbO6 crystal, computed with PBE.

a = 6.5344 Å, b = 6.5349 Å, c = 7.2620 Å
α = 63.27°, β = 116.76°, γ = 120.02°
Last column: nearest neighbours and their distance in Å.
Atoms (fractional coordinates):
Na 0.3223 0.6777 0.9666  3 O 2.64, 3 Na 2.78-2.79
Na 0.1331 0.2730 0.3597  4 O 2.30-2.46
Na 0.5572 0.0625 0.6622  3 O 2.22-2.40
Na 0.9376 0.8327 0.6621  3 O 2.22-2.40
Na 0.7272 0.5004 0.3600  4 O 2.30-2.46
Na 0.1674 0.4426 0.6622  3 O 2.22-2.40
Na 0.4995 0.8669 0.3598  4 O 2.30-2.46
O 0.3580 0.1856 0.2546  1 Sb 2.05
O 0.3055 0.1225 0.7529  1 Mg 1.96
O 0.0819 0.6419 0.2543  1 Sb 2.05
O 0.5699 0.6947 0.7529  1 Mg 1.96
O 0.8780 0.4304 0.7531  1 Mg 1.96
O 0.8141 0.9177 0.2542  1 Sb 2.05
Sb 0.0299 0.9697 0.0905  3 O 2.05
Mg 0.6152 0.3853 0.8450  3 O 1.96

Computed properties:
Energy of formation   -1.68 eV/atom
Offset from the most stable computed form   93 kJ/mol of formula units
Space group   R3 (146)
Crystal system   trigonal

A relaxed NaMg6SbO8 crystal, computed with PBE.

a = 8.9012 Å, b = 4.4390 Å, c = 4.4390 Å
α = 90.00°, β = 90.00°, γ = 90.00°
Last column: nearest neighbours and their distance in Å.
Atoms (fractional coordinates):
Mg 0.2282 0.0000 0.5000  5 O 2.03-2.23
Mg 0.7718 0.5000 0.0000  5 O 2.03-2.23
Mg 0.7718 0.0000 0.5000  5 O 2.03-2.23
Mg 0.0000 0.5000 0.5000  6 O 2.22-2.25
Mg 0.2282 0.5000 0.0000  5 O 2.03-2.23
Mg 0.5000 0.5000 0.5000  6 O 2.20-2.22
O 0.0000 0.5000 0.0000  4 Mg 2.03-2.22, 2 Na 2.22
O 0.0000 0.0000 0.5000  4 Mg 2.03-2.22, 2 Na 2.22
O 0.5000 0.0000 0.5000  2 Sb 2.22, 4 Mg 2.22-2.42
O 0.7492 0.0000 0.0000  1 Sb 2.22, 4 Mg 2.23, 1 Na 2.23
O 0.2532 0.5000 0.5000  6 Mg 2.20-2.25
O 0.5000 0.5000 0.0000  2 Sb 2.22, 4 Mg 2.22-2.42
O 0.2508 0.0000 0.0000  1 Sb 2.22, 4 Mg 2.23, 1 Na 2.23
O 0.7468 0.5000 0.5000  6 Mg 2.20-2.25
Sb 0.5000 0.0000 0.0000  6 O 2.22
Na 0.0000 0.0000 0.0000  6 O 2.22-2.23

Computed properties:
Energy of formation   -2.54 eV/atom
Offset from the most stable computed form   82 kJ/mol of formula units
Space group   P4/mmm (123)
Crystal system   tetragonal

A relaxed NaMg6SbO8 crystal, computed with PBE.

a = 8.8620 Å, b = 4.4224 Å, c = 4.4224 Å
α = 90.00°, β = 90.00°, γ = 90.00°
Last column: nearest neighbours and their distance in Å.
Atoms (fractional coordinates):
Mg 0.7375 0.0000 0.5000  6 O 2.10-2.33
Mg 0.5000 0.5000 0.5000  6 O 2.09-2.21
Mg 0.7375 0.5000 0.0000  6 O 2.10-2.33
Mg 0.2625 0.0000 0.5000  6 O 2.10-2.33
Mg 0.5000 0.0000 0.0000  6 O 2.05-2.21
Mg 0.2625 0.5000 0.0000  6 O 2.10-2.33
Na 0.0000 0.0000 0.0000  6 O 2.21-2.38
O 0.7317 0.0000 0.0000  5 Mg 2.05-2.21
O 0.0000 0.0000 0.5000  2 Na 2.21, 2 Sb 2.21, 2 Mg 2.33
O 0.5000 0.0000 0.5000  6 Mg 2.10-2.21
O 0.2647 0.5000 0.5000  5 Mg 2.09-2.21
O 0.7353 0.5000 0.5000  5 Mg 2.09-2.21
O 0.2683 0.0000 0.0000  5 Mg 2.05-2.21
O 0.0000 0.5000 0.0000  2 Na 2.21, 2 Sb 2.21, 2 Mg 2.33
O 0.5000 0.5000 0.0000  6 Mg 2.10-2.21
Sb 0.0000 0.5000 0.5000  6 O 2.21-2.35

Computed properties:
Energy of formation   -2.59 eV/atom
Offset from the most stable computed form   0 kJ/mol of formula units
Space group   P4/mmm (123)
Crystal system   tetragonal

A relaxed Na7MgSbO6 crystal, computed with PBE.

a = 6.3713 Å, b = 6.5152 Å, c = 7.2164 Å
α = 71.67°, β = 121.66°, γ = 113.57°
Last column: nearest neighbours and their distance in Å.
Atoms (fractional coordinates):
Mg 0.7508 0.6761 0.0772  4 O 2.00-2.11
Na 0.5547 0.0907 0.8661  4 O 2.29-2.54
Na 0.9785 0.1683 0.3080  3 O 2.26-2.38
Na 0.8716 0.7444 0.6095  4 O 2.31-2.41
Na 0.7404 0.3602 0.4129  3 O 2.25-2.40
Na 0.3157 0.5151 0.6582  4 O 2.30-2.44
Na 0.2434 0.5842 0.0730  4 O 2.32-2.41
Na 0.4226 0.8733 0.3652  3 O 2.32-2.48
O 0.6864 0.8483 0.7694  1 Mg 2.05
O 0.9122 0.3697 0.7745  1 Sb 2.00
O 0.1388 0.1063 0.6772  1 Sb 1.97
O 0.4517 0.3685 0.0404  1 Mg 2.11, 1 Sb 2.12, 1 Na 2.33
O 0.6622 0.8280 0.2211  1 Mg 2.02
O 0.0575 0.5632 0.2846  1 Mg 2.00
Sb 0.0852 0.1258 0.9152  3 O 1.97-2.12

Computed properties:
Energy of formation   -1.74 eV/atom
Offset from the most stable computed form   0 kJ/mol of formula units
Space group   P1 (1)
Crystal system   triclinic

A relaxed Na7MgSbO6 crystal, computed with PBE.

a = 6.6494 Å, b = 6.6494 Å, c = 8.2079 Å
α = 66.12°, β = 113.89°, γ = 120.00°
Last column: nearest neighbours and their distance in Å.
Atoms (fractional coordinates):
Na 0.2907 0.5255 0.6546  4 O 2.28-2.43
Na 0.8896 0.7095 0.6547  4 O 2.28-2.43
Na 0.3953 0.6044 0.1859  3 O 2.41
Na 0.4746 0.1106 0.6547  4 O 2.28-2.43
Na 0.0691 0.2293 0.3891  4 O 2.31-2.41
Na 0.7706 0.4506 0.3893  4 O 2.31-2.41
Na 0.5493 0.9308 0.3891  4 O 2.31-2.41
O 0.6504 0.8363 0.7194  1 Sb 1.97
O 0.9054 0.3498 0.7196  1 Sb 1.97
O 0.8008 0.8402 0.3290  1 Mg 1.96
O 0.1597 0.6314 0.3290  1 Mg 1.96
O 0.3684 0.1991 0.3290  1 Mg 1.96
O 0.1639 0.0949 0.7195  1 Sb 1.97
Sb 0.9515 0.0488 0.8543  3 O 1.97
Mg 0.0888 0.9110 0.2666  3 O 1.96

Computed properties:
Energy of formation   -1.73 eV/atom
Offset from the most stable computed form   13 kJ/mol of formula units
Space group   R3 (146)
Crystal system   trigonal

A relaxed Na7MgSbO6 crystal, computed with PBE.

a = 6.5437 Å, b = 6.5763 Å, c = 7.2797 Å
α = 63.74°, β = 116.80°, γ = 120.35°
Last column: nearest neighbours and their distance in Å.
Atoms (fractional coordinates):
Mg 0.6069 0.4015 0.8114  3 O 1.95
Sb 0.0196 0.9743 0.0634  3 O 2.04
Na 0.5497 0.0733 0.6349  3 O 2.24-2.40
Na 0.3110 0.6895 0.9360  3 O 2.61-2.69, 3 Na 2.79-2.80
Na 0.7171 0.5078 0.3332  4 O 2.30-2.45
Na 0.4891 0.8743 0.3334  4 O 2.31-2.44
Na 0.1570 0.4503 0.6336  3 O 2.23-2.38
Na 0.9296 0.8452 0.6288  3 O 2.22-2.41
Na 0.1234 0.2818 0.3295  4 O 2.31-2.45
O 0.2969 0.1389 0.7185  1 Mg 1.95
O 0.0693 0.6499 0.2223  1 Sb 2.04
O 0.3478 0.1884 0.2294  1 Sb 2.04
O 0.5605 0.7069 0.7200  1 Mg 1.95
O 0.8032 0.9219 0.2258  1 Sb 2.04
O 0.8697 0.4452 0.7218  1 Mg 1.95

Computed properties:
Energy of formation   -1.68 eV/atom
Offset from the most stable computed form   93 kJ/mol of formula units
Space group   P1 (1)
Crystal system   triclinic

A relaxed NaMg14SbO16 crystal, computed with PBE.

a = 8.6611 Å, b = 8.7138 Å, c = 4.3585 Å
α = 90.00°, β = 90.00°, γ = 90.00°
Last column: nearest neighbours and their distance in Å.
Atoms (fractional coordinates):
Mg 0.5000 0.7533 0.5000  6 O 2.15-2.21
Mg 0.0000 0.7673 0.5000  5 O 2.03-2.18
Mg 0.2548 0.2401 0.0000  6 O 2.09-2.27
Mg 0.7387 0.5000 0.5000  6 O 2.07-2.26
Mg 0.7452 0.7599 0.0000  6 O 2.09-2.27
Mg 0.0000 0.2327 0.5000  5 O 2.03-2.18
Mg 0.5000 0.0000 0.0000  6 O 2.03-2.20
Mg 0.2548 0.7599 0.0000  6 O 2.09-2.27
Mg 0.2482 0.0000 0.5000  6 O 2.15-2.20
Mg 0.5000 0.2467 0.5000  6 O 2.15-2.21
Mg 0.5000 0.5000 0.0000  6 O 2.04-2.18
Mg 0.7452 0.2401 0.0000  6 O 2.09-2.27
Mg 0.7518 0.0000 0.5000  6 O 2.15-2.20
Mg 0.2613 0.5000 0.5000  6 O 2.07-2.26
O 0.2488 0.7476 0.5000  6 Mg 2.16-2.20
O 0.5000 0.5000 0.5000  6 Mg 2.07-2.21
O 0.0000 0.2484 0.0000  1 Na 2.16, 4 Mg 2.18-2.21, 1 Sb 2.19
O 0.7355 0.5000 0.0000  5 Mg 2.04-2.27
O 0.2488 0.2524 0.5000  6 Mg 2.16-2.20
O 0.0000 0.5000 0.5000  2 Sb 2.18, 4 Mg 2.26-2.33
O 0.7512 0.2524 0.5000  6 Mg 2.16-2.20
O 0.5000 0.2521 0.0000  6 Mg 2.13-2.20
O 0.7339 0.0000 0.0000  5 Mg 2.03-2.18
O 0.2645 0.5000 0.0000  5 Mg 2.04-2.27
O 0.2661 0.0000 0.0000  5 Mg 2.03-2.18
O 0.7512 0.7476 0.5000  6 Mg 2.16-2.20
O 0.5000 0.7479 0.0000  6 Mg 2.13-2.20
O 0.0000 0.0000 0.5000  4 Mg 2.03-2.15, 2 Na 2.18
O 0.5000 0.0000 0.5000  6 Mg 2.15-2.18
O 0.0000 0.7516 0.0000  1 Na 2.16, 4 Mg 2.18-2.21, 1 Sb 2.19
Sb 0.0000 0.5000 0.0000  6 O 2.18-2.29
Na 0.0000 0.0000 0.0000  6 O 2.16-2.30

Computed properties:
Energy of formation   -2.80 eV/atom
Space group   Pmmm (47)
Crystal system   orthorhombic

A relaxed NaMg6SiO8 crystal, computed with PBE.

a = 8.6182 Å, b = 4.2732 Å, c = 4.2732 Å
α = 90.00°, β = 90.00°, γ = 90.00°
Last column: nearest neighbours and their distance in Å.
Atoms (fractional coordinates):
Mg 0.7510 0.5000 0.0000  6 O 2.14-2.16
Mg 0.2490 0.0000 0.5000  6 O 2.14-2.16
Mg 0.2490 0.5000 0.0000  6 O 2.14-2.16
Mg 0.5000 0.5000 0.5000  6 O 2.03-2.14
Mg 0.7510 0.0000 0.5000  6 O 2.14-2.16
Mg 0.5000 0.0000 0.0000  6 O 2.14-2.27
O 0.0000 0.5000 0.0000  2 Na 2.14, 2 Si 2.14, 2 Mg 2.15
O 0.0000 0.0000 0.5000  2 Na 2.14, 2 Si 2.14, 2 Mg 2.15
O 0.7632 0.0000 0.0000  1 Si 2.04, 5 Mg 2.14-2.27
O 0.5000 0.5000 0.0000  6 Mg 2.14-2.16
O 0.2368 0.0000 0.0000  1 Si 2.04, 5 Mg 2.14-2.27
O 0.7353 0.5000 0.5000  5 Mg 2.03-2.14
O 0.5000 0.0000 0.5000  6 Mg 2.14-2.16
O 0.2647 0.5000 0.5000  5 Mg 2.03-2.14
Si 0.0000 0.0000 0.0000  6 O 2.04-2.14
Na 0.0000 0.5000 0.5000  6 O 2.14-2.28

Computed properties:
Energy of formation   -2.67 eV/atom
Offset from the most stable computed form   19 kJ/mol of formula units
Space group   P4/mmm (123)
Crystal system   tetragonal

A relaxed Na2MgSi5O12 crystal, computed with PBE.

a = 8.7380 Å, b = 5.3338 Å, c = 9.3452 Å
α = 75.45°, β = 90.00°, γ = 90.00°
Last column: nearest neighbours and their distance in Å.
Atoms (fractional coordinates):
O 0.6937 0.7996 0.3558  2 Si 1.66-1.85
O 0.5041 0.6914 0.0984  1 Si 1.59
O 0.2337 0.1007 0.3879  2 Si 1.64-1.67
O 0.9856 0.1824 0.1244  2 Si 1.63-1.79
O 0.5041 0.3086 0.4016  1 Si 1.59
O 0.2463 0.4142 0.0914  2 Si 1.65-1.66
O 0.7537 0.4142 0.5914  2 Si 1.65-1.66
O 0.0144 0.1824 0.6244  2 Si 1.63-1.79
O 0.2463 0.5858 0.4086  2 Si 1.65-1.66
O 0.4959 0.6914 0.5984  1 Si 1.59
O 0.7537 0.5858 0.9086  2 Si 1.65-1.66
O 0.9856 0.8176 0.3756  2 Si 1.63-1.79
O 0.3063 0.2004 0.6442  2 Si 1.66-1.85
O 0.0144 0.8176 0.8756  2 Si 1.63-1.79
O 0.1560 0.2390 0.8619  2 Si 1.66-1.84
O 0.7663 0.8993 0.6121  2 Si 1.64-1.67
O 0.7663 0.1007 0.8879  2 Si 1.64-1.67
O 0.6937 0.2004 0.1442  2 Si 1.66-1.85
O 0.3063 0.7996 0.8558  2 Si 1.66-1.85
O 0.8440 0.2390 0.3619  2 Si 1.66-1.84
O 0.4959 0.3086 0.9016  1 Si 1.59
O 0.1560 0.7610 0.6381  2 Si 1.66-1.84
O 0.8440 0.7610 0.1381  2 Si 1.66-1.84
O 0.2337 0.8993 0.1121  2 Si 1.64-1.67
Si 0.8479 0.0000 0.2500  6 O 1.79-1.85
Si 0.6656 0.6980 0.5366  4 O 1.59-1.67
Si 0.1514 0.8194 0.4556  4 O 1.63-1.66
Si 0.8486 0.1806 0.5444  4 O 1.63-1.66
Si 0.6656 0.3020 0.9634  4 O 1.59-1.67
Si 0.1514 0.1806 0.0445  4 O 1.63-1.66
Si 0.8486 0.8194 0.9556  4 O 1.63-1.66
Si 0.3344 0.6980 0.0366  4 O 1.59-1.67
Si 0.3344 0.3020 0.4634  4 O 1.59-1.67
Si 0.1521 0.0000 0.7500  6 O 1.79-1.85
Na 0.5429 0.0000 0.7500  6 O 2.42-2.47
Na 0.4571 0.0000 0.2500  6 O 2.42-2.47
Na 0.0515 0.5000 0.2500  6 O 2.36-2.38
Na 0.9485 0.5000 0.7500  6 O 2.36-2.38
Mg 0.3461 0.5000 0.7500  6 O 2.01-2.25
Mg 0.6539 0.5000 0.2500  6 O 2.01-2.25

Computed properties:
Energy of formation   -3.05 eV/atom
Offset from the most stable computed form   0 kJ/mol of formula units
Space group   P2/c (13)
Crystal system   monoclinic

A relaxed NaMg14SiO16 crystal, computed with PBE.

a = 8.5810 Å, b = 8.5001 Å, c = 4.3053 Å
α = 90.00°, β = 90.00°, γ = 90.00°
Last column: nearest neighbours and their distance in Å.
Atoms (fractional coordinates):
O 0.0000 0.5000 0.5000  4 Mg 2.07-2.12, 2 Na 2.15
O 0.2632 0.5000 0.0000  5 Mg 2.03-2.16, 1 Na 2.26
O 0.0000 0.2208 0.0000  1 Si 1.88
O 0.5000 0.0000 0.5000  6 Mg 2.14-2.15
O 0.7577 0.0000 0.0000  1 Si 2.08, 5 Mg 2.15-2.21
O 0.5000 0.7551 0.0000  6 Mg 2.08-2.17
O 0.2423 0.0000 0.0000  1 Si 2.08, 5 Mg 2.15-2.21
O 0.0000 0.0000 0.5000  2 Si 2.15, 4 Mg 2.16-2.18
O 0.7514 0.2485 0.5000  6 Mg 2.11-2.16
O 0.7368 0.5000 0.0000  5 Mg 2.03-2.16, 1 Na 2.26
O 0.7514 0.7515 0.5000  6 Mg 2.11-2.16
O 0.2486 0.7515 0.5000  6 Mg 2.11-2.16
O 0.5000 0.5000 0.5000  6 Mg 2.11-2.17
O 0.0000 0.7792 0.0000  1 Si 1.88
O 0.2486 0.2485 0.5000  6 Mg 2.11-2.16
O 0.5000 0.2449 0.0000  6 Mg 2.08-2.17
Mg 0.7480 0.7454 0.0000  6 O 2.09-2.18
Mg 0.5000 0.5000 0.0000  6 O 2.03-2.17
Mg 0.7480 0.2546 0.0000  6 O 2.09-2.18
Mg 0.0000 0.2562 0.5000  6 O 2.07-2.18
Mg 0.5000 0.7477 0.5000  6 O 2.11-2.16
Mg 0.0000 0.7438 0.5000  6 O 2.07-2.18
Mg 0.2520 0.2546 0.0000  6 O 2.09-2.18
Mg 0.7488 0.0000 0.5000  6 O 2.11-2.16
Mg 0.2512 0.0000 0.5000  6 O 2.11-2.16
Mg 0.5000 0.2523 0.5000  6 O 2.11-2.16
Mg 0.7524 0.5000 0.5000  6 O 2.12-2.17
Mg 0.2520 0.7454 0.0000  6 O 2.09-2.18
Mg 0.5000 0.0000 0.0000  6 O 2.08-2.21
Mg 0.2476 0.5000 0.5000  6 O 2.12-2.17
Si 0.0000 0.0000 0.0000  4 O 1.88-2.08
Na 0.0000 0.5000 0.0000  6 O 2.15-2.37

Computed properties:
Energy of formation   -2.87 eV/atom
Offset from the most stable computed form   0 kJ/mol of formula units
Space group   Pmmm (47)
Crystal system   orthorhombic

A relaxed NaMg4Si6O18 crystal, computed with PBE.

a = 15.0234 Å, b = 15.0234 Å, c = 5.3105 Å
α = 84.77°, β = 84.77°, γ = 140.60°
Last column: nearest neighbours and their distance in Å.
Atoms (fractional coordinates):
O 0.5119 0.1786 0.4928  2 Si 1.64-1.65
O 0.6605 0.6631 0.0097  2 Si 1.64
O 0.1275 0.6169 0.6987  1 Si 1.63
O 0.4881 0.8214 0.5072  2 Si 1.64-1.65
O 0.9249 0.3218 0.8563  1 Si 1.63
O 0.4149 0.2485 0.7316  2 Si 1.63-1.65
O 0.8725 0.3831 0.3013  1 Si 1.63
O 0.8235 0.4968 0.5079  2 Si 1.63-1.67
O 0.0851 0.1417 0.3460  1 Si 1.65
O 0.0306 0.7454 0.6560  1 Si 1.64
O 0.7515 0.5851 0.7684  2 Si 1.63-1.65
O 0.5851 0.7515 0.2684  2 Si 1.63-1.65
O 0.9149 0.8583 0.6540  1 Si 1.65
O 0.6631 0.6605 0.5097  2 Si 1.64
O 0.5032 0.1765 0.9921  2 Si 1.63-1.67
O 0.1417 0.0851 0.8460  1 Si 1.65
O 0.7454 0.0306 0.1560  1 Si 1.64
O 0.4968 0.8235 0.0079  2 Si 1.63-1.67
O 0.1765 0.5032 0.4921  2 Si 1.63-1.67
O 0.3218 0.9249 0.3563  1 Si 1.63
O 0.9694 0.2546 0.3440  1 Si 1.64
O 0.1496 0.9760 0.3014  1 O 1.51
O 0.6169 0.1275 0.1987  1 Si 1.63
O 0.3369 0.3395 0.4903  2 Si 1.64
O 0.0751 0.6782 0.1437  1 Si 1.63
O 0.3395 0.3369 0.9903  2 Si 1.64
O 0.6782 0.0751 0.6437  1 Si 1.63
O 0.9760 0.1496 0.8014  1 O 1.51
O 0.0240 0.8504 0.1986  1 O 1.51
O 0.1786 0.5119 0.9928  2 Si 1.64-1.65
O 0.3831 0.8725 0.8013  1 Si 1.63
O 0.8504 0.0240 0.6986  1 O 1.51
O 0.2546 0.9694 0.8440  1 Si 1.64
O 0.8214 0.4881 0.0072  2 Si 1.64-1.65
O 0.2485 0.4149 0.2316  2 Si 1.63-1.65
O 0.8583 0.9149 0.1540  1 Si 1.65
Si 0.5815 0.8588 0.2319  4 O 1.63-1.65
Si 0.0957 0.4851 0.7675  4 O 1.63-1.67
Si 0.8588 0.5815 0.7319  4 O 1.63-1.65
Si 0.2549 0.3110 0.2651  4 O 1.63-1.65
Si 0.7451 0.6890 0.7349  4 O 1.63-1.65
Si 0.1412 0.4185 0.2681  4 O 1.63-1.65
Si 0.3110 0.2549 0.7651  4 O 1.63-1.65
Si 0.5149 0.9043 0.7325  4 O 1.63-1.67
Si 0.4185 0.1412 0.7681  4 O 1.63-1.65
Si 0.6890 0.7451 0.2349  4 O 1.63-1.65
Si 0.4851 0.0957 0.2675  4 O 1.63-1.67
Si 0.9043 0.5149 0.2325  4 O 1.63-1.67
Mg 0.0876 0.9124 0.7500  6 O 2.07-2.29
Mg 0.9782 0.0218 0.7500  6 O 1.98-2.15
Mg 0.7965 0.2035 0.2500  6 O 2.02-2.19
Mg 0.8463 0.1537 0.7500  6 O 1.97-2.17
Mg 0.1537 0.8463 0.2500  6 O 1.97-2.17
Mg 0.0218 0.9782 0.2500  6 O 1.98-2.15
Mg 0.2035 0.7965 0.7500  6 O 2.02-2.19
Mg 0.9124 0.0876 0.2500  6 O 2.07-2.29
Na 0.2710 0.7290 0.2500  6 O 2.43-2.57
Na 0.7290 0.2710 0.7500  6 O 2.43-2.57

Computed properties:
Energy of formation   -2.84 eV/atom
Space group   C2/c (15)
Crystal system   monoclinic